Entry from the Materials Project database: a relaxed structure of Li3TiCr3O8 (PBE+U).

- Uncorrected energy: -219.13 eV for the cell shown
- Total magnetic moment: 0.00 μB per cell
- ΔE_f: -2593 meV per atom
- Polymorph energy (0 for the lowest one): 0.0 meV/atom

extended XYZ file:
```
30
Lattice="0.000 -3.088 5.054 -3.359 8.296 5.068 -5.225 -1.541 2.529" Properties=species:S:1:pos:R:3 pbc="T T T"
Li -5.972 5.980 8.861
Li -4.293 3.376 3.799
Li -3.452 0.532 3.795
Li -5.131 3.136 8.856
Li -2.612 -0.770 1.267
Li -4.291 1.834 6.328
Ti -5.225 -1.545 2.537
Ti -1.679 2.599 5.069
Cr -2.527 3.917 7.589
Cr -6.905 2.603 5.071
Cr -6.056 -1.785 7.577
Cr -0.848 1.312 2.528
Cr -3.359 6.747 7.603
Cr -7.736 3.907 7.584
O -1.600 -0.466 3.176
O -3.279 2.138 8.237
O -6.984 4.142 9.461
O -5.305 1.539 4.400
O -4.087 6.576 5.703
O -2.408 0.884 5.696
O -1.551 -2.047 5.685
O -3.230 3.645 5.692
O -4.103 4.987 8.315
O -2.424 2.384 3.253
O -4.480 -2.919 6.955
O -6.160 2.773 6.961
O -7.033 5.719 6.959
O -5.353 0.028 6.952
O -4.497 -1.320 4.350
O -6.176 1.284 9.411
```